14
Lattice="-2.612 -4.518 -0.018 -2.633 4.530 0.029 0.019 -0.046 -8.849" Properties=species:S:1:pos:R:3 comment="KAlSiO4, optimized geometry, DFT PBE-GGA" de_polymorph_mev_per_atom=3 vol_a3_per_fu=105.0 rho_g_cm3=2.50 corrected_energy_ev_per_atom=-7.483 spacegroup="P1 (1)" pbc="T T T"
O -3.578 -2.744 -4.457
O -3.193 -0.085 -4.580
Al -2.644 1.482 -3.997
O -2.071 0.062 -0.093
Si -2.660 1.499 -0.617
O -4.177 1.731 -0.048
O -1.075 -1.762 -4.588
Si -2.630 -1.548 -5.053
O -2.690 -1.612 -6.687
K -0.010 -0.014 -2.291
O -2.731 1.477 -2.246
Al -2.631 -1.568 -8.436
K -2.623 4.484 -6.688
O -1.672 2.728 -0.162